1.
Li6Cr2O7: optimized geometry, GGA+U.

```
Li6Cr2O7
1.0
-2.472 -3.586 -3.755
1.977 -0.412 -5.384
5.812 -7.614 1.039
Li Cr O
12 4 14
Cartesian
0.014 -2.906 -3.643
1.947 -1.366 -4.435
3.803 -6.083 -3.447
1.692 -7.428 -2.758
2.403 -5.704 -7.076
4.183 -10.315 -6.144
1.134 -1.296 -1.956
2.913 -5.907 -1.024
3.625 -4.183 -5.343
1.514 -5.528 -4.654
3.369 -10.245 -3.665
5.303 -8.705 -4.458
2.539 -3.682 -2.703
4.347 -8.272 -1.781
0.970 -3.339 -6.319
2.778 -7.929 -5.398
2.052 -5.453 -2.769
5.961 -8.544 -2.617
0.185 -3.040 -8.107
0.556 -5.301 -6.436
0.797 -3.258 -1.797
1.892 -7.703 -7.148
3.425 -3.908 -0.952
4.520 -8.353 -6.304
4.761 -6.310 -1.665
5.132 -8.571 0.006
-0.644 -3.067 -5.483
1.881 -3.420 -4.558
3.265 -6.158 -5.331
3.436 -8.191 -3.543
```

=====

2.
Li6Cr2O7: optimized geometry, GGA+U.

```
Li6Cr2O7
1.0
5.059 0.000 0.000
0.000 7.870 0.000
0.000 3.972 8.192
Li Cr O
12 4 14
Cartesian
1.017 6.148 7.230
4.096 7.971 7.013
4.092 3.866 6.835
4.096 5.857 5.275
1.017 7.680 5.057
4.092 9.961 5.452
0.967 1.880 2.739
4.042 4.162 3.134
0.963 5.985 2.917
0.967 7.976 1.356
0.963 3.871 1.179
4.042 5.694 0.961
1.582 9.734 7.407
1.582 4.093 4.881
3.477 7.749 3.311
3.477 2.107 0.785
4.064 5.756 7.321
1.084 8.087 7.021
3.367 9.932 7.321
1.084 5.740 5.266
0.769 2.979 6.144
4.064 8.072 4.966
3.367 3.896 4.967
1.692 7.946 3.225
0.995 3.770 3.226
4.290 0.993 2.048
3.975 6.102 2.925
1.692 1.910 0.871
3.975 3.754 1.170
0.995 6.086 0.870
```

=====

3.
Li6Cr2O7: optimized geometry, GGA+U.

```
Li6Cr2O7
1.0
-4.294 2.016 3.282
2.406 -1.594 4.128
5.011 7.542 1.922
Li Cr O
12 4 14
Cartesian
1.843 7.504 5.746
4.246 6.426 3.950
4.452 6.076 7.209
0.342 6.029 4.155
2.293 5.163 2.704
4.486 3.872 3.538
-1.363 4.092 5.794
0.830 2.801 6.628
2.781 1.935 5.177
-1.329 1.887 2.123
-1.123 1.537 5.382
1.280 0.459 3.586
6.408 5.164 5.283
2.510 4.794 5.480
0.613 3.170 3.853
-3.285 2.800 4.049
1.203 -0.797 2.064
4.042 7.494 8.569
4.183 5.329 2.283
2.318 6.228 4.359
4.455 5.086 5.459
2.190 5.938 7.041
2.552 3.555 3.969
0.571 4.408 5.363
0.358 4.779 2.602
0.933 2.025 2.291
-1.332 2.877 3.873
0.805 1.736 4.973
-1.060 2.635 7.049
-0.919 0.470 0.763
```

=====

Order from most stable to least stable according to the calculation: 3, 2, 1

=====

1.
Li2Cr4O13: optimized geometry, GGA+U.

```
Li2Cr4O13
1.0
9.608 0.000 0.000
0.000 8.513 0.000
0.000 3.267 14.508
Li Cr O
8 16 52
Cartesian
0.007 9.081 14.260
0.012 8.545 7.353
4.797 7.447 7.005
4.792 6.911 0.099
4.816 4.869 14.409
4.811 4.333 7.503
9.595 3.236 7.155
9.601 2.700 0.249
6.830 10.096 8.581
7.289 10.017 11.881
2.660 8.590 9.804
7.581 8.462 1.327
7.123 8.383 4.627
2.739 7.467 13.123
2.144 6.957 2.550
7.543 5.947 8.639
2.065 5.833 5.869
7.463 4.824 11.958
6.869 4.314 1.385
2.485 3.397 9.881
2.026 3.318 13.181
6.948 3.190 4.704
2.319 1.764 2.627
2.778 1.685 5.927
3.188 10.286 9.964
1.336 10.365 13.164
8.360 10.241 7.993
5.986 10.047 12.818
6.840 9.480 10.306
5.957 9.106 7.641
8.372 8.993 12.485
1.616 8.653 2.710
3.468 8.732 5.910
6.051 8.607 0.739
3.624 8.610 13.845
1.183 8.585 9.174
8.425 8.414 5.563
7.571 7.847 3.052
3.670 7.846 8.806
2.669 7.812 11.327
8.454 7.473 0.387
8.249 7.388 8.422
1.219 7.421 13.751
6.039 7.359 5.230
1.179 6.977 6.591
3.621 6.951 1.920
1.134 6.212 1.552
2.135 6.179 4.073
6.023 5.993 8.011
3.445 6.026 13.341
6.162 5.755 1.167
3.585 5.788 6.497
7.473 5.602 10.436
8.474 5.568 12.957
5.987 4.829 12.588
8.428 4.804 7.918
3.569 4.421 9.278
8.389 4.359 0.757
1.359 4.392 6.087
1.153 4.308 14.121
6.938 3.968 3.181
5.938 3.935 5.703
2.037 3.934 11.456
1.182 3.367 8.945
8.425 3.196 5.334
5.983 3.170 0.664
3.557 3.173 13.770
6.139 3.049 8.599
7.991 3.128 11.798
1.235 2.788 2.024
3.650 2.674 6.867
2.767 2.300 4.202
3.622 1.733 1.691
1.247 1.540 6.515
8.272 1.415 1.345
6.420 1.494 4.544
```

=====

2.
Li2Cr4O13: optimized geometry, GGA+U.

```
Li2Cr4O13
1.0
3.420 6.838 0.000
-3.420 6.838 0.000
0.000 4.537 13.306
Li Cr O
4 8 26
Cartesian
-0.016 14.139 12.107
-0.016 6.342 7.852
0.016 11.870 5.454
0.016 4.074 1.199
2.435 10.621 11.529
-2.435 8.352 4.876
-0.027 6.962 11.212
-0.027 13.519 8.747
0.027 4.693 4.559
0.027 11.251 2.094
2.435 9.861 8.430
-2.435 7.592 1.777
1.317 10.917 12.627
-0.073 16.208 11.977
-1.317 8.649 5.974
0.061 15.340 8.637
-1.370 7.486 11.965
1.290 7.564 11.963
-0.039 7.358 9.633
0.073 13.939 5.325
-0.061 13.071 1.984
-0.039 13.124 10.325
1.290 12.918 7.996
-1.370 12.996 7.993
1.370 5.217 5.312
-1.290 5.295 5.310
0.039 5.089 2.980
0.061 5.142 11.321
-0.073 4.274 7.981
0.039 10.855 3.672
-1.290 10.649 1.343
1.370 10.727 1.340
1.653 10.241 9.979
-0.061 2.873 4.669
1.317 9.564 7.331
0.073 2.005 1.328
-1.653 7.972 3.326
-1.317 7.296 0.678
```

=====

Order from most stable to least stable according to the calculation: 1, 2

=====

1.
Li2Cr4O13: optimized geometry, GGA+U.

```
Li2Cr4O13
1.0
-2.730 3.334 6.456
2.012 -7.036 3.792
11.546 3.767 -1.546
Li Cr O
6 12 39
Cartesian
5.324 4.116 4.456
6.959 2.404 0.580
0.300 -2.592 3.841
10.528 2.657 4.860
3.869 -2.339 8.121
5.504 -4.051 4.245
8.744 5.644 5.322
10.418 3.693 1.386
3.084 1.553 3.666
4.265 0.152 1.205
6.992 1.145 3.928
8.003 -0.288 1.421
2.825 0.353 7.280
3.836 -1.080 4.773
6.563 -0.087 7.496
7.744 -1.488 5.035
0.410 -3.627 7.315
2.084 -5.579 3.379
11.087 4.197 -0.555
7.293 5.043 4.958
-1.365 1.667 3.228
3.059 3.144 4.047
8.936 3.168 1.035
3.814 1.771 1.990
4.705 0.984 -0.139
5.025 3.623 6.373
1.592 1.078 3.344
5.826 2.267 4.066
6.903 1.075 2.077
2.876 -0.550 0.897
-1.717 0.678 6.779
8.416 1.830 4.222
11.495 2.340 0.716
10.777 3.181 2.892
3.459 0.801 5.294
4.220 -0.070 3.293
5.475 -1.206 1.137
9.488 0.133 1.827
1.340 -0.068 6.874
5.353 1.271 7.564
6.607 0.135 5.408
7.368 -0.736 3.408
0.051 -3.116 5.809
-0.667 -2.274 7.985
2.412 -1.765 4.479
12.545 -0.613 1.922
7.952 0.615 7.804
3.925 -1.009 6.624
5.002 -2.202 4.635
9.235 -1.013 5.357
5.803 -3.558 2.328
6.123 -0.919 8.840
7.014 -1.706 6.711
1.892 -3.103 7.666
7.769 -3.079 4.654
3.535 -4.978 3.744
-0.259 -4.132 9.256
```

=====

2.
Li2Cr4O13: optimized geometry, GGA+U.

```
Li2Cr4O13
1.0
9.554 0.000 0.000
0.000 8.752 0.000
0.000 3.540 14.541
Li Cr O
8 16 52
Cartesian
0.036 10.899 10.578
4.741 9.129 3.308
0.062 7.600 10.853
4.839 6.461 10.958
4.715 5.830 3.583
9.492 4.691 3.688
4.813 3.163 11.234
9.518 1.393 3.963
7.206 10.877 13.609
7.125 9.107 6.338
6.771 9.217 9.615
2.651 9.294 12.228
7.560 7.447 2.344
2.126 7.524 4.957
7.081 7.530 13.579
2.304 6.532 8.233
7.251 5.760 6.308
2.474 4.762 0.962
7.428 4.768 9.584
1.994 4.844 12.197
6.903 2.998 2.313
2.783 3.074 4.926
2.429 3.185 8.203
2.348 1.415 0.932
5.985 11.790 13.103
8.397 10.920 12.534
3.363 10.747 12.157
5.898 10.239 10.524
8.346 10.020 5.833
6.531 9.673 7.857
8.361 9.247 10.037
1.255 9.313 11.356
5.935 9.151 5.264
6.607 9.221 13.800
1.414 8.977 4.886
2.162 8.990 13.967
8.433 8.469 3.253
3.673 8.159 11.690
7.801 7.903 0.586
5.970 7.477 2.767
3.522 7.543 4.086
6.222 7.705 9.823
7.724 7.451 6.529
1.106 7.291 8.995
8.410 7.483 12.684
2.615 7.220 6.697
3.633 6.578 9.127
5.883 6.770 12.816
1.104 6.389 4.420
1.445 6.356 11.989
8.109 5.935 2.553
8.450 5.902 10.121
3.671 5.521 1.725
5.922 5.713 5.414
6.939 5.072 7.844
1.144 4.808 1.857
8.448 5.000 5.546
1.830 4.841 8.012
3.332 4.586 4.718
6.032 4.749 10.455
3.584 4.814 11.774
1.753 4.388 13.955
5.881 4.132 2.851
1.121 3.823 11.288
7.392 3.302 0.574
8.140 3.315 9.655
2.947 3.071 0.741
3.620 3.141 9.277
8.299 2.979 3.185
1.193 3.044 4.504
3.024 2.618 6.685
1.208 2.271 8.708
3.656 2.053 4.017
6.191 1.545 2.384
1.157 1.371 2.007
3.569 0.501 1.438
```

=====

3.
Li2Cr4O13: optimized geometry, GGA+U.

```
Li2Cr4O13
1.0
-8.856 4.116 -0.858
5.108 -3.184 7.738
3.668 8.080 0.904
Li Cr O
4 8 26
Cartesian
-0.110 0.700 6.586
2.527 2.008 3.412
-1.806 8.769 4.569
-0.771 6.548 1.001
2.623 5.621 2.653
0.726 6.597 6.565
1.426 -0.879 3.066
1.227 3.463 7.077
0.444 9.406 1.138
-3.257 6.034 4.287
-2.909 2.938 5.080
-0.600 2.868 1.270
0.463 2.630 2.451
-1.654 1.964 5.326
-5.304 9.757 0.314
0.846 4.958 6.054
3.305 6.841 3.657
2.740 4.165 3.332
2.178 7.233 6.852
-6.716 3.698 0.827
-5.052 6.426 0.440
1.278 2.168 6.096
1.525 0.338 4.140
5.790 5.856 4.563
2.667 3.692 7.798
-3.946 2.678 -0.310
-4.670 5.798 3.517
-0.636 8.434 1.866
-2.326 7.085 3.467
5.355 2.491 6.641
6.254 5.410 7.660
-4.015 2.216 4.158
-1.063 4.411 1.227
-1.943 1.813 1.480
-2.367 4.412 4.377
5.224 -0.745 7.470
1.088 5.976 2.339
-0.056 7.454 5.453
```

=====

Order from most stable to least stable according to the calculation: 2, 3, 1